No. 1
Below is Li32Mn3Cr13O48 after structural relaxation, with properties calculated at the PBE+U level.

Cell: 5.042 8.710 19.524 Å, 97.99 94.99 89.60°
Fractional positions:
O  0.033  0.893  0.931
O  0.176  0.677  0.818
O  0.426  0.285  0.569
O  0.566  0.078  0.433
O  0.678  0.537  0.319
O  0.966  0.107  0.569
O  0.468  0.602  0.569
O  0.216  0.355  0.319
O  0.324  0.825  0.682
O  0.327  0.822  0.182
O  0.923  0.788  0.569
O  0.529  0.395  0.431
O  0.825  0.967  0.681
O  0.933  0.424  0.067
O  0.218  0.359  0.819
O  0.533  0.396  0.931
O  0.070  0.573  0.432
O  0.176  0.676  0.318
O  0.068  0.573  0.932
O  0.683  0.536  0.819
O  0.931  0.427  0.568
O  0.464  0.603  0.069
O  0.319  0.464  0.681
O  0.576  0.071  0.932
O  0.920  0.786  0.069
O  0.782  0.643  0.180
O  0.573  0.713  0.930
O  0.314  0.461  0.181
O  0.170  0.036  0.819
O  0.575  0.717  0.431
O  0.436  0.287  0.069
O  0.081  0.214  0.931
O  0.422  0.925  0.068
O  0.287  0.145  0.681
O  0.715  0.857  0.319
O  0.710  0.854  0.819
O  0.781  0.645  0.681
O  0.064  0.210  0.431
O  0.428  0.926  0.568
O  0.832  0.965  0.182
O  0.185  0.037  0.319
O  0.285  0.146  0.181
O  0.816  0.327  0.183
O  0.036  0.893  0.431
O  0.682  0.174  0.317
O  0.673  0.175  0.818
O  0.824  0.324  0.682
O  0.967  0.109  0.069
Li  0.000  0.500  0.251
Li  0.752  0.250  0.501
Li  0.248  0.751  0.499
Li  0.875  0.375  0.875
Li  0.260  0.081  0.000
Li  0.127  0.627  0.125
Li  0.756  0.580  0.000
Li  0.243  0.421  0.000
Li  0.993  0.169  0.250
Li  0.377  0.877  0.875
Li  0.742  0.920  0.000
Li  0.125  0.624  0.625
Li  0.375  0.875  0.375
Li  0.493  0.670  0.250
Li  0.006  0.833  0.751
Li  0.507  0.331  0.250
Li  0.625  0.124  0.625
Li  0.499  0.998  0.250
Li  0.009  0.832  0.251
Li  0.999  0.500  0.750
Li  0.247  0.749  0.000
Li  0.758  0.580  0.499
Li  0.242  0.421  0.501
Li  0.258  0.079  0.501
Li  0.626  0.124  0.125
Li  0.876  0.377  0.375
Li  0.742  0.919  0.499
Li  0.506  0.330  0.750
Li  0.501  0.000  0.750
Li  0.750  0.248  0.000
Li  0.495  0.670  0.750
Li  0.992  0.167  0.749
Cr  0.382  0.542  0.376
Cr  0.873  0.046  0.375
Cr  0.124  0.963  0.125
Cr  0.377  0.546  0.875
Cr  0.621  0.452  0.124
Cr  0.881  0.039  0.875
Cr  0.369  0.203  0.374
Cr  0.632  0.789  0.625
Cr  0.632  0.789  0.125
Cr  0.374  0.212  0.875
Cr  0.125  0.298  0.125
Cr  0.124  0.959  0.626
Cr  0.618  0.455  0.624
Mn  0.124  0.291  0.625
Mn  0.873  0.707  0.874
Mn  0.876  0.710  0.376

volume: 845.8 Å³ per cell
crystal system: triclinic
energy of formation from the pure elements: -213.4 eV/f.u.


No. 2
Below is ZnFe4CoO8 after structural relaxation, with properties calculated at the PBE+U level.

Cell: 6.053 6.053 6.053 Å, 60.01 60.01 60.01°
Fractional positions:
O  0.246  0.246  0.779
O  0.779  0.246  0.246
O  0.231  0.751  0.751
O  0.756  0.756  0.756
O  0.241  0.241  0.241
O  0.751  0.231  0.751
O  0.751  0.751  0.231
O  0.246  0.779  0.246
Fe  0.494  0.002  0.002
Fe  0.623  0.623  0.623
Fe  0.002  0.002  0.494
Fe  0.002  0.494  0.002
Zn  0.001  0.001  0.001
Co  0.377  0.377  0.377

volume: 156.8 Å³ per cell
distance to the lowest polymorph of the same formula: 0.0604 eV per atom
crystal system: trigonal
energy of formation from the pure elements: -22.4 eV/f.u.


No. 3
Below is Li10Sc9FeSi20O60 after structural relaxation, with properties calculated at the PBE+U level.

Cell: 12.875 9.039 11.163 Å, 113.88 74.97 90.00°
Fractional positions:
O  0.428  0.787  0.564
O  0.128  0.508  0.513
O  0.272  0.920  0.836
O  0.971  0.613  0.236
O  0.172  0.813  0.636
O  0.771  0.413  0.836
O  0.635  0.841  0.512
O  0.928  0.308  0.113
O  0.929  0.277  0.564
O  0.365  0.160  0.489
O  0.829  0.188  0.364
O  0.727  0.109  0.715
O  0.428  0.305  0.113
O  0.628  0.984  0.964
O  0.173  0.295  0.085
O  0.935  0.970  0.111
O  0.528  0.908  0.313
O  0.472  0.092  0.687
O  0.372  0.012  0.036
O  0.765  0.559  0.289
O  0.035  0.241  0.311
O  0.733  0.768  0.712
O  0.332  0.705  0.913
O  0.828  0.705  0.913
O  0.071  0.723  0.436
O  0.834  0.041  0.912
O  0.466  0.434  0.695
O  0.129  0.477  0.964
O  0.167  0.956  0.088
O  0.872  0.492  0.486
O  0.337  0.375  0.912
O  0.728  0.077  0.164
O  0.434  0.639  0.105
O  0.628  0.506  0.514
O  0.972  0.095  0.687
O  0.535  0.570  0.311
O  0.772  0.895  0.287
O  0.672  0.323  0.635
O  0.528  0.876  0.764
O  0.072  0.692  0.887
O  0.472  0.124  0.236
O  0.372  0.495  0.487
O  0.570  0.215  0.439
O  0.029  0.388  0.764
O  0.028  0.905  0.314
O  0.871  0.523  0.036
O  0.229  0.106  0.715
O  0.568  0.692  0.887
O  0.272  0.892  0.286
O  0.228  0.588  0.165
O  0.865  0.830  0.489
O  0.665  0.630  0.089
O  0.330  0.676  0.361
O  0.563  0.363  0.888
O  0.135  0.170  0.511
O  0.066  0.030  0.888
O  0.235  0.441  0.711
O  0.965  0.759  0.689
O  0.265  0.230  0.288
O  0.671  0.291  0.085
Li  0.050  0.797  0.100
Li  0.450  0.200  0.900
Li  0.650  0.397  0.300
Li  0.351  0.602  0.701
Li  0.850  0.597  0.700
Li  0.250  0.998  0.500
Li  0.549  0.801  0.099
Li  0.750  0.003  0.500
Li  0.150  0.403  0.300
Li  0.950  0.203  0.900
Sc  0.051  0.157  0.100
Sc  0.750  0.643  0.500
Sc  0.150  0.043  0.300
Sc  0.950  0.843  0.900
Sc  0.549  0.444  0.098
Sc  0.351  0.245  0.702
Sc  0.250  0.357  0.500
Sc  0.650  0.757  0.300
Sc  0.849  0.957  0.700
Si  0.083  0.698  0.570
Si  0.218  0.429  0.030
Si  0.184  0.972  0.770
Si  0.117  0.502  0.830
Si  0.017  0.228  0.630
Si  0.483  0.098  0.371
Si  0.417  0.628  0.429
Si  0.615  0.825  0.830
Si  0.583  0.374  0.572
Si  0.682  0.299  0.770
Si  0.917  0.302  0.430
Si  0.317  0.702  0.228
Si  0.783  0.572  0.970
Si  0.983  0.772  0.370
Si  0.883  0.498  0.170
Si  0.716  0.101  0.030
Si  0.517  0.902  0.630
Si  0.285  0.895  0.970
Si  0.817  0.028  0.230
Si  0.383  0.172  0.170
Fe  0.450  0.559  0.900

volume: 1139.1 Å³ per cell
crystal system: monoclinic
energy of formation from the pure elements: -328.1 eV/f.u.


No. 4
Below is Mn2CuO4 after structural relaxation, with properties calculated at the PBE+U level.

Cell: 6.079 6.099 6.084 Å, 121.93 122.14 86.72°
Fractional positions:
Mn  0.000  0.500  0.500
Mn  0.000  0.500  0.000
Mn  0.000  0.000  0.500
Mn  0.500  0.500  0.000
Cu  0.374  0.123  0.251
Cu  0.626  0.877  0.749
O  0.761  0.735  0.475
O  0.222  0.738  0.485
O  0.761  0.286  0.025
O  0.782  0.750  0.032
O  0.218  0.250  0.968
O  0.239  0.714  0.975
O  0.778  0.262  0.516
O  0.239  0.266  0.525

volume: 154.0 Å³ per cell
distance to the lowest polymorph of the same formula: 0.0000 eV per atom
crystal system: triclinic
energy of formation from the pure elements: -11.7 eV/f.u.


No. 5
Below is LaFeSbO6 after structural relaxation, with properties calculated at the PBE+U level.

Cell: 5.621 5.600 9.668 Å, 54.72 90.00 90.00°
Fractional positions:
La  0.213  0.741  0.250
La  0.787  0.741  0.750
O  0.020  0.260  0.974
O  0.744  0.173  0.749
O  0.988  0.705  0.025
O  0.539  0.327  0.961
O  0.768  0.793  0.252
O  0.537  0.745  0.539
O  0.463  0.745  0.039
O  0.012  0.705  0.525
O  0.980  0.260  0.474
O  0.232  0.793  0.752
O  0.461  0.327  0.461
O  0.256  0.173  0.249
Sb  0.738  0.494  0.503
Sb  0.262  0.494  0.003
Fe  0.264  0.001  0.497
Fe  0.736  0.001  0.997

volume: 248.4 Å³ per cell
crystal system: monoclinic
energy of formation from the pure elements: -19.7 eV/f.u.


> Among the records above, which one has the lowest volume?

Mn2CuO4